Nd2H16S3O20 | PBE | relaxed

Lattice parameters (Å, degrees): 13.704 6.898 18.563 90.00 102.75 90.00
Space group C2/c (No. 15)
Symmetry-distinct sites (fractional):
Nd: 0.169 0.024 0.393 (multiplicity 8)
H: 0.005 0.298 0.839 (multiplicity 8)
H: 0.006 0.327 0.393 (multiplicity 8)
H: 0.014 0.181 0.046 (multiplicity 8)
H: 0.054 0.105 0.649 (multiplicity 8)
H: 0.118 0.418 0.505 (multiplicity 8)
H: 0.138 0.356 0.017 (multiplicity 8)
H: 0.167 0.469 0.201 (multiplicity 8)
H: 0.229 0.018 0.243 (multiplicity 8)
S: 0.000 0.330 0.250 (multiplicity 4)
S: 0.213 0.031 0.090 (multiplicity 8)
O: 0.014 0.164 0.857 (multiplicity 8)
O: 0.033 0.454 0.193 (multiplicity 8)
O: 0.040 0.245 0.436 (multiplicity 8)
O: 0.085 0.207 0.287 (multiplicity 8)
O: 0.139 0.087 0.019 (multiplicity 8)
O: 0.153 0.484 0.041 (multiplicity 8)
O: 0.161 0.026 0.151 (multiplicity 8)
O: 0.205 0.324 0.895 (multiplicity 8)
O: 0.239 0.499 0.204 (multiplicity 8)
O: 0.246 0.338 0.423 (multiplicity 8)

Results
Its density is 2.8 Mg/m³.

NiH | PBE | relaxed

Lattice parameters (Å, degrees): 3.712 3.712 3.712 90.00 90.00 90.00
Space group Fm-3m (No. 225)
Symmetry-distinct sites (fractional):
Ni: 0.000 0.000 0.000 (multiplicity 4)
H: 0.000 0.000 0.500 (multiplicity 4)

Results
Its density is 7.8 Mg/m³.

NiH3 | PBE | relaxed

Lattice parameters (Å, degrees): 5.1081 5.1081 2.3404 90.00 90.00 120.00
Space group P6_3/mmc (No. 194)
Symmetry-distinct sites (fractional):
Ni: 0.3333 0.6667 0.2500 (multiplicity 2)
H: 0.2095 0.4191 0.7500 (multiplicity 6)

Results
Its density is 3.9 Mg/m³.

ThNi2H2 | PBE | relaxed

Lattice parameters (Å, degrees): 4.3274 4.3274 3.5436 90.00 90.00 120.00
Space group P6/mmm (No. 191)
Symmetry-distinct sites (fractional):
Th: 0.0000 0.0000 0.0000 (multiplicity 1)
Ni: 0.3333 0.6667 0.5000 (multiplicity 2)
H: 0.3333 0.6667 0.0000 (multiplicity 2)

Results
Its density is 10.2 Mg/m³.

Ti2NiH | PBE | relaxed

Lattice parameters (Å, degrees): 11.436 11.436 11.436 90.00 90.00 90.00
Space group Fd-3m (No. 227, origin choice 2)
Symmetry-distinct sites (fractional):
Ti: 0.000 0.000 0.000 (multiplicity 16)
Ti: 0.065 0.375 0.875 (multiplicity 48)
Ni: 0.035 0.035 0.215 (multiplicity 32)
H: 0.000 0.000 0.500 (multiplicity 16)
H: 0.125 0.125 0.125 (multiplicity 8)
H: 0.125 0.125 0.625 (multiplicity 8)

Results
Its density is 5.5 Mg/m³.

TiNiH | PBE | relaxed

Lattice parameters (Å, degrees): 3.338 9.496 3.840 90.00 90.00 90.00
Space group Cmcm (No. 63)
Symmetry-distinct sites (fractional):
Ti: 0.000 0.142 0.250 (multiplicity 4)
Ni: 0.000 0.414 0.250 (multiplicity 4)
H: 0.000 0.082 0.750 (multiplicity 4)

Results
Its density is 5.9 Mg/m³.

Formation energy list, top to bottom, in meV/atom: -1835 -125 157 -458 -354 -336